(1)
DFT (r²SCAN) results for an optimized crystal structure of TbS2.

Calculated values
**DFT total energy**: -17.6865 eV per atom
**Calculated volume**: 19.86 Å³ per atom
**Space-group type**: P4/nmm, No. 129

abc: 3.8664 3.8664 7.9726
angles: 89.99 90.00 90.00
Atoms (fractional coordinates):
Tb (0.7500, 0.7503, 0.7266)
Tb (0.2500, 0.2497, 0.2734)
S (0.2500, 0.2503, 0.6321)
S (0.7500, 0.7497, 0.3679)
S (0.2500, 0.7500, 0.0000)
S (0.7500, 0.2500, 0.0000)

(2)
DFT (r²SCAN) results for an optimized crystal structure of Gd2AgAu.

Calculated values
**DFT total energy**: -40.2346 eV per atom
**Calculated volume**: 23.93 Å³ per atom
**Space-group type**: Fm-3m, No. 225

abc: 5.1347 5.1347 5.1347
angles: 60.00 60.00 60.00
Atoms (fractional coordinates):
Gd (0.7500, 0.7500, 0.7500)
Gd (0.2500, 0.2500, 0.2500)
Au (0.0000, 0.0000, 0.0000)
Ag (0.5000, 0.5000, 0.5000)

It is found that the spin magnetization values, taken in the order of the records, are 0.0; 14.7 Bohr magnetons per cell.